No. 1
This record from the Materials Project describes a relaxed structure of HoLuMg2. The functional is PBE.

Summary:
formation energy: -5.6 kJ/mol of atoms

Cell and atoms, written as POSCAR:
```
HoLuMg2
1.0
0.000 3.754 3.754
3.754 0.000 3.754
3.754 3.754 0.000
Ho Lu Mg
1 1 2
direct
0.500 0.500 0.500
0.000 0.000 0.000
0.250 0.250 0.250
0.750 0.750 0.750
```

No. 2
This record from the Materials Project describes a relaxed structure of Fe5CoN4. The functional is PBE.

Summary:
MP2020-corrected energy: -166.6 eV/cell
formation energy: -4.6 kJ/mol of atoms
magnetic moment: 1.18 μB per formula unit

Cell and atoms, written as POSCAR:
```
Fe5CoN4
1.0
6.850 0.000 0.000
0.000 5.676 0.000
0.000 0.000 4.680
Fe Co N
10 2 8
direct
0.556 0.496 0.249
0.944 0.496 0.249
0.556 0.004 0.249
0.944 0.004 0.249
0.444 0.504 0.751
0.056 0.504 0.751
0.444 0.996 0.751
0.056 0.996 0.751
0.750 0.750 0.706
0.250 0.250 0.294
0.750 0.250 0.707
0.250 0.750 0.293
0.750 0.996 0.975
0.750 0.504 0.975
0.250 0.004 0.025
0.250 0.496 0.025
0.509 0.750 0.496
0.991 0.750 0.496
0.491 0.250 0.504
0.009 0.250 0.504
```

Which formula does entry 1 have?
HoLuMg2